The following is a DFT calculation (GGA-PBE) of U3TiSn5 after structural relaxation.

The calculated total energy is -125.70 eV/cell. The value obtained for the calculated formation energy is -115 meV/atom.

The structure belongs to space group P6_3/mcm (No. 193); the cell edges are 9.1367, 9.1367 and 6.0592 Å and the angles 90.00°, 90.00° and 120.00°. The distinct sites, in fractional coordinates, are U at (0.0000, 0.3908, 0.2500), Ti at (0.0000, 0.0000, 0.0000), Sn at (0.0000, 0.2633, 0.7500) and Sn at (0.3333, 0.6667, 0.0000).